This record from Materials Project describes an optimized crystal structure of PaGaFe2. The functional is r²SCAN.

Geometry as CIF:
```
data_PaGaFe2
_chemical_formula_sum 'Pa1 Ga1 Fe2'
_space_group_name_H-M_alt 'P 1'
_space_group_IT_number 1
_space_group_name_Hall 'P 1'
_cell_length_a 4.497
_cell_length_b 4.497
_cell_length_c 4.497
_cell_angle_alpha 60.00
_cell_angle_beta 60.00
_cell_angle_gamma 60.00
loop_
_atom_site_label
_atom_site_fract_x
_atom_site_fract_y
_atom_site_fract_z
_atom_site_occupancy
Pa1 0.000 0.000 0.000 1
Ga1 0.500 0.500 0.500 1
Fe1 0.250 0.250 0.250 1
Fe2 0.750 0.750 0.750 1
```

## Properties
ΔH_f (0 K)	-0.01	eV per atom
symmetry	Fm-3m (225)
electronic total energy	-29.288	eV/atom